# 1
VASP calculation (PBE) on Ho2Ni2Sn after structural relaxation.

Cell: 7.280 7.280 3.698 Å, 90.00 90.00 90.00°
Atoms (fractional coordinates):
Ho: 0.174 0.326 0.000
Ho: 0.326 0.826 0.000
Ho: 0.674 0.174 0.000
Ho: 0.826 0.674 0.000
Ni: 0.123 0.623 0.500
Ni: 0.377 0.123 0.500
Ni: 0.623 0.877 0.500
Ni: 0.877 0.377 0.500
Sn: 0.000 0.000 0.500
Sn: 0.500 0.500 0.500

Computed properties:
crystal system	tetragonal
E_form	-0.601	eV/atom

=====

# 2
VASP calculation (PBE) on HoNiSn after structural relaxation.

Cell: 7.246 7.246 3.909 Å, 90.00 90.00 120.00°
Atoms (fractional coordinates):
Ho: 0.000 0.594 0.000
Ho: 0.406 0.406 0.000
Ho: 0.594 0.000 0.000
Ni: 0.000 0.000 0.000
Ni: 0.333 0.667 0.500
Ni: 0.667 0.333 0.500
Sn: 0.000 0.260 0.500
Sn: 0.260 0.000 0.500
Sn: 0.740 0.740 0.500

Computed properties:
crystal system	hexagonal
E_form	-0.671	eV/atom

=====

# 3
VASP calculation (PBE) on HoNiSn2 after structural relaxation.

Cell: 16.135 4.433 14.623 Å, 90.00 90.00 90.00°
Atoms (fractional coordinates):
Ho: 0.126 0.250 0.226
Ho: 0.146 0.750 0.602
Ho: 0.152 0.250 0.973
Ho: 0.348 0.750 0.473
Ho: 0.354 0.250 0.102
Ho: 0.374 0.750 0.726
Ho: 0.626 0.250 0.274
Ho: 0.646 0.750 0.898
Ho: 0.652 0.250 0.527
Ho: 0.848 0.750 0.027
Ho: 0.854 0.250 0.398
Ho: 0.874 0.750 0.774
Ni: 0.053 0.750 0.107
Ni: 0.193 0.250 0.745
Ni: 0.200 0.250 0.454
Ni: 0.300 0.750 0.954
Ni: 0.307 0.750 0.245
Ni: 0.447 0.250 0.607
Ni: 0.553 0.750 0.393
Ni: 0.693 0.250 0.755
Ni: 0.700 0.250 0.046
Ni: 0.800 0.750 0.546
Ni: 0.807 0.750 0.255
Ni: 0.947 0.250 0.893
Sn: 0.020 0.750 0.922
Sn: 0.031 0.250 0.734
Sn: 0.043 0.250 0.447
Sn: 0.175 0.750 0.368
Sn: 0.183 0.750 0.822
Sn: 0.215 0.750 0.105
Sn: 0.285 0.250 0.605
Sn: 0.317 0.250 0.322
Sn: 0.325 0.250 0.868
Sn: 0.457 0.750 0.947
Sn: 0.469 0.750 0.234
Sn: 0.480 0.250 0.422
Sn: 0.520 0.750 0.578
Sn: 0.531 0.250 0.766
Sn: 0.543 0.250 0.053
Sn: 0.675 0.750 0.132
Sn: 0.683 0.750 0.678
Sn: 0.715 0.750 0.395
Sn: 0.785 0.250 0.895
Sn: 0.817 0.250 0.178
Sn: 0.825 0.250 0.632
Sn: 0.957 0.750 0.553
Sn: 0.969 0.750 0.266
Sn: 0.980 0.250 0.078

Computed properties:
spin magnetization	0.02	μB per cell
crystal system	orthorhombic
E_form	-0.566	eV/atom

=====

# 4
VASP calculation (PBE) on Ho6Ni2Sn after structural relaxation.

Cell: 8.362 8.362 8.362 Å, 112.19 110.04 106.24°
Atoms (fractional coordinates):
Ho: 0.028 0.234 0.794
Ho: 0.184 0.288 0.472
Ho: 0.184 0.712 0.896
Ho: 0.322 0.014 0.692
Ho: 0.322 0.630 0.308
Ho: 0.440 0.234 0.206
Ho: 0.560 0.766 0.794
Ho: 0.678 0.370 0.692
Ho: 0.678 0.986 0.308
Ho: 0.816 0.288 0.104
Ho: 0.816 0.712 0.528
Ho: 0.972 0.766 0.206
Ni: 0.120 0.620 0.500
Ni: 0.358 0.000 0.358
Ni: 0.642 0.000 0.642
Ni: 0.880 0.380 0.500
Sn: 0.000 0.000 0.000
Sn: 0.500 0.500 0.000

Computed properties:
spin magnetization	0.02	μB per cell
crystal system	orthorhombic
E_form	-0.410	eV/atom

=====

# 5
VASP calculation (PBE) on HoNp after structural relaxation.

Cell: 3.295 3.295 5.814 Å, 90.00 90.00 120.00°
Atoms (fractional coordinates):
Ho: 0.000 0.000 0.000
Np: 0.667 0.333 0.500

Computed properties:
spin magnetization	0.01	μB per cell
crystal system	hexagonal
E_form	0.887	eV/atom

=====

# 6
VASP calculation (PBE) on Ho3Np after structural relaxation.

Cell: 7.016 7.016 5.626 Å, 90.00 90.00 120.00°
Atoms (fractional coordinates):
Ho: 0.169 0.337 0.250
Ho: 0.169 0.831 0.250
Ho: 0.337 0.169 0.750
Ho: 0.663 0.831 0.250
Ho: 0.831 0.169 0.750
Ho: 0.831 0.663 0.750
Np: 0.333 0.667 0.750
Np: 0.667 0.333 0.250

Computed properties:
spin magnetization	9.99	μB per cell
crystal system	hexagonal
E_form	0.353	eV/atom

=====

# 7
VASP calculation (PBE) on HoNpRu2 after structural relaxation.

Cell: 4.747 4.747 4.747 Å, 60.00 60.00 60.00°
Atoms (fractional coordinates):
Ho: 0.000 0.000 0.000
Np: 0.500 0.500 0.500
Ru: 0.250 0.250 0.250
Ru: 0.750 0.750 0.750

Computed properties:
crystal system	cubic
E_form	-0.216	eV/atom

=====

# 8
VASP calculation (PBE) on Ho2O3 after structural relaxation.

Cell: 3.656 3.656 5.859 Å, 90.00 90.00 120.00°
Atoms (fractional coordinates):
Ho: 0.333 0.667 0.250
Ho: 0.667 0.333 0.750
O: 0.000 0.000 0.000
O: 0.333 0.667 0.646
O: 0.667 0.333 0.354

Computed properties:
crystal system	trigonal
E_form	-3.966	eV/atom

=====

# 9
VASP calculation (PBE) on HoO3 after structural relaxation.

Cell: 4.646 4.646 4.644 Å, 90.00 90.00 120.00°
Atoms (fractional coordinates):
Ho: 0.333 0.667 0.250
Ho: 0.667 0.333 0.750
O: 0.180 0.361 0.750
O: 0.180 0.820 0.750
O: 0.361 0.180 0.250
O: 0.639 0.820 0.750
O: 0.820 0.180 0.250
O: 0.820 0.639 0.250

Computed properties:
energy above the lowest structure with this stoichiometry	66	meV/atom
spin magnetization	0.02	μB per cell
crystal system	hexagonal
E_form	-2.001	eV/atom

=====

# 10
VASP calculation (PBE) on Ho2O3 after structural relaxation.

Cell: 9.189 9.189 9.189 Å, 109.47 109.47 109.47°
Atoms (fractional coordinates):
Ho: 0.000 0.000 0.500
Ho: 0.000 0.500 0.000
Ho: 0.033 0.750 0.783
Ho: 0.217 0.967 0.250
Ho: 0.250 0.217 0.967
Ho: 0.250 0.717 0.467
Ho: 0.283 0.533 0.750
Ho: 0.467 0.250 0.717
Ho: 0.500 0.000 0.000
Ho: 0.500 0.500 0.500
Ho: 0.533 0.750 0.283
Ho: 0.717 0.467 0.250
Ho: 0.750 0.283 0.533
Ho: 0.750 0.783 0.033
Ho: 0.783 0.033 0.750
Ho: 0.967 0.250 0.217
O: 0.011 0.043 0.272
O: 0.031 0.489 0.761
O: 0.043 0.272 0.011
O: 0.228 0.271 0.739
O: 0.229 0.457 0.469
O: 0.239 0.969 0.511
O: 0.261 0.772 0.729
O: 0.271 0.739 0.228
O: 0.272 0.011 0.043
O: 0.457 0.469 0.229
O: 0.469 0.229 0.457
O: 0.489 0.761 0.031
O: 0.511 0.239 0.969
O: 0.531 0.771 0.543
O: 0.543 0.531 0.771
O: 0.728 0.989 0.957
O: 0.729 0.261 0.772
O: 0.739 0.228 0.271
O: 0.761 0.031 0.489
O: 0.771 0.543 0.531
O: 0.772 0.729 0.261
O: 0.957 0.728 0.989
O: 0.969 0.511 0.239
O: 0.989 0.957 0.728

Computed properties:
crystal system	cubic
E_form	-4.034	eV/atom

=====

Question: Look up the E_form of the sixth one.
Answer: 0.353 eV/atom

=====

Question: What is the formula in the first record?
Answer: Ho2Ni2Sn